DFT (PBE with a Hubbard U) results for an optimized crystal structure of Mn3AlF15.

The structure belongs to space group P2_1/m (No. 11); the cell edges are 5.7010, 10.6070 and 9.2437 Å and the angles 90.00°, 106.15° and 90.00°. The distinct sites, in fractional coordinates, are Mn at (0.0000, 0.0000, 0.0000), Mn at (0.0035, 0.0014, 0.3321), Al at (0.4686, 0.7500, 0.7466), F at (0.1201, 0.0973, 0.1808), F at (0.1222, 0.0927, 0.5244), F at (0.1248, 0.0910, 0.8589), F at (0.2699, 0.5897, 0.3780), F at (0.2722, 0.5915, 0.0471), F at (0.2763, 0.6165, 0.7125), F at (0.3565, 0.2500, 0.7186), F at (0.3867, 0.2500, 0.3878) and F at (0.3876, 0.2500, 0.0718).

The raw total energy is -5.021 eV/atom. The value obtained for the formation energy is -2.49 eV per atom. As for the crystal system: monoclinic. As for the MP2020-corrected energy: -5.65 eV per atom. For the magnetization, the calculation gives 22.00 μB/cell.

---

DFT (PBE with a Hubbard U) results for an optimized crystal structure of MnAlF5.

The structure belongs to space group Immm (No. 71); the cell edges are 3.6372, 6.3854 and 7.6768 Å and the angles 90.00°, 90.00° and 90.00°. The distinct sites, in fractional coordinates, are Mn at (0.0000, 0.0000, 0.0000), Al at (0.0000, 0.0000, 0.5000), F at (0.0000, 0.0000, 0.2663), F at (0.0000, 0.2905, 0.5000) and F at (0.0000, 0.5000, 0.0000).

The raw total energy is -6.116 eV/atom. The value obtained for the formation energy is -3.47 eV per atom. As for the crystal system: orthorhombic. As for the MP2020-corrected energy: -6.68 eV per atom.

---

DFT (PBE with a Hubbard U) results for an optimized crystal structure of AlMo3F15.

The structure belongs to space group P2_1/m (No. 11); the cell edges are 6.0412, 9.9867 and 10.1116 Å and the angles 90.00°, 104.86° and 90.00°. The distinct sites, in fractional coordinates, are Al at (0.0341, 0.2500, 0.2609), Mo at (0.4800, 0.5460, 0.3327), Mo at (0.5000, 0.0000, 0.0000), F at (0.0979, 0.7500, 0.6145), F at (0.1218, 0.7500, 0.9011), F at (0.2068, 0.1036, 0.2839), F at (0.2171, 0.1167, 0.6194), F at (0.2283, 0.1067, 0.9552), F at (0.3551, 0.6104, 0.1266), F at (0.3854, 0.5916, 0.5160), F at (0.3923, 0.7500, 0.3311) and F at (0.3983, 0.5785, 0.7980).

The raw total energy is -5.330 eV/atom. The value obtained for the formation energy is -2.78 eV per atom. As for the crystal system: monoclinic. As for the MP2020-corrected energy: -6.20 eV per atom. For the magnetization, the calculation gives 12.00 μB/cell.

---

DFT (PBE with a Hubbard U) results for an optimized crystal structure of Na2AlNiF7.

The structure belongs to space group Imma (No. 74); the cell edges are 7.1371, 10.1647 and 7.4271 Å and the angles 90.00°, 90.00° and 90.00°. The distinct sites, in fractional coordinates, are Na at (0.0000, 0.0000, 0.0000), Na at (0.2500, 0.2500, 0.2500), Al at (0.0000, 0.0000, 0.5000), Ni at (0.2500, 0.2500, 0.7500), F at (0.0000, 0.0841, 0.2788), F at (0.0000, 0.2500, 0.8716) and F at (0.1867, 0.1124, 0.5654).

The raw total energy is -4.897 eV/atom. The value obtained for the formation energy is -3.10 eV per atom. As for the crystal system: orthorhombic. As for the MP2020-corrected energy: -5.42 eV per atom.

---

DFT (PBE with a Hubbard U) results for an optimized crystal structure of RbAlNiF6.

The structure belongs to space group Imma (No. 74); the cell edges are 7.1200, 7.2043 and 10.1014 Å and the angles 90.00°, 90.00° and 90.00°. The distinct sites, in fractional coordinates, are Rb at (0.0000, 0.2500, 0.1288), Al at (0.2500, 0.2500, 0.7500), Ni at (0.0000, 0.0000, 0.5000), F at (0.0000, 0.2500, 0.4139), F at (0.0000, 0.2500, 0.7988) and F at (0.2104, 0.0698, 0.6276).

The raw total energy is -5.075 eV/atom. The value obtained for the formation energy is -3.22 eV per atom. As for the crystal system: orthorhombic. As for the MP2020-corrected energy: -5.67 eV per atom.